Ba2GdGaSe5: optimized geometry, PBE.

Geometry as extended XYZ:
```
18
Lattice="7.407 0.000 0.000 -2.649 8.415 0.000 -2.164 -3.043 8.802" Properties=species:S:1:pos:R:3 pbc="T T T"
Ba 1.117 -1.974 6.238
Se 0.855 4.822 8.142
Se 0.590 4.737 4.332
Ba -0.349 2.145 6.216
Se -2.799 6.185 2.761
Ba 2.942 3.228 2.585
Se 0.507 4.794 0.484
Ga 0.428 0.131 2.753
Se 1.738 0.550 0.659
Se 5.393 -0.812 6.041
Ga 2.165 5.242 6.048
Gd 3.293 3.117 8.784
Gd -0.699 2.255 0.018
Se 4.025 3.676 6.013
Se -1.432 1.697 2.788
Se 2.004 0.635 4.469
Se 2.086 0.579 8.317
Ba 1.476 7.347 2.563
```

Results
Calculated density in g/cm3: 5.4
Magnetization in μB per atom: 0.78
ΔE_f in eV/atom: -1.914
Crystal system: triclinic
Symmetry: P-1, No. 2